[1]
First-principles (meta-GGA r2SCAN) data for a relaxed structure of YbCeCu2, as listed in the Materials Project database.

Calculated values
Formation enthalpy at 0 K (eV per atom): -0.147
DFT total energy (Ry per atom): -1.647
Space-group type: Fm-3m, No. 225
Crystal system: cubic

a = 6.9208 Å, b = 6.9208 Å, c = 6.9208 Å
α = 90.00°, β = 90.00°, γ = 90.00°
With the nearest neighbours (Å) after each atom.
Fractional positions:
Yb: 0.0000 0.0000 0.0000  8 Cu 3.00
Yb: 0.0000 0.5000 0.5000  8 Cu 3.00
Yb: 0.5000 0.0000 0.5000  8 Cu 3.00
Yb: 0.5000 0.5000 0.0000  8 Cu 3.00
Ce: 0.0000 0.0000 0.5000  8 Cu 3.00
Ce: 0.0000 0.5000 0.0000  8 Cu 3.00
Ce: 0.5000 0.0000 0.0000  8 Cu 3.00
Ce: 0.5000 0.5000 0.5000  8 Cu 3.00
Cu: 0.2500 0.2500 0.2500  4 Ce 3.00, 4 Yb 3.00
Cu: 0.2500 0.2500 0.7500  4 Ce 3.00, 4 Yb 3.00
Cu: 0.2500 0.7500 0.2500  4 Ce 3.00, 4 Yb 3.00
Cu: 0.2500 0.7500 0.7500  4 Ce 3.00, 4 Yb 3.00
Cu: 0.7500 0.2500 0.2500  4 Ce 3.00, 4 Yb 3.00
Cu: 0.7500 0.2500 0.7500  4 Ce 3.00, 4 Yb 3.00
Cu: 0.7500 0.7500 0.2500  4 Ce 3.00, 4 Yb 3.00
Cu: 0.7500 0.7500 0.7500  4 Ce 3.00, 4 Yb 3.00

***

[2]
First-principles (meta-GGA r2SCAN) data for a relaxed structure of SrLiN, as listed in the Materials Project database.

Calculated values
Formation enthalpy at 0 K (eV per atom): -0.622
DFT total energy (Ry per atom): -0.699
Space-group type: P4_2/mmc, No. 131
Crystal system: tetragonal

a = 3.9212 Å, b = 3.9212 Å, c = 7.0603 Å
α = 90.00°, β = 90.00°, γ = 90.00°
With the nearest neighbours (Å) after each atom.
Fractional positions:
Sr: 0.0000 0.0000 0.2500  4 N 2.64
Sr: 0.0000 0.0000 0.7500  4 N 2.64
Li: 0.5000 0.5000 0.0000  2 N 1.96
Li: 0.5000 0.5000 0.5000  2 N 1.96
N: 0.0000 0.5000 0.0000  2 Li 1.96
N: 0.5000 0.0000 0.5000  2 Li 1.96

***

[3]
First-principles (meta-GGA r2SCAN) data for a relaxed structure of LiYbGe, as listed in the Materials Project database.

Calculated values
Formation enthalpy at 0 K (eV per atom): -0.809
DFT total energy (Ry per atom): -1.353
Space-group type: P-62m, No. 189
Crystal system: hexagonal

a = 6.9146 Å, b = 6.9146 Å, c = 4.1634 Å
α = 90.00°, β = 90.00°, γ = 120.00°
With the nearest neighbours (Å) after each atom.
Fractional positions:
Li: 0.0000 0.2312 0.0000  4 Ge 2.62-2.73, 2 Li 2.77
Li: 0.2312 0.0000 0.0000  4 Ge 2.62-2.73, 2 Li 2.77
Li: 0.7688 0.7688 0.0000  4 Ge 2.62-2.73, 2 Li 2.77
Yb: 0.0000 0.5736 0.5000  5 Ge 2.93-2.95, 2 Li 3.15
Yb: 0.4264 0.4264 0.5000  5 Ge 2.93-2.95, 2 Li 3.15
Yb: 0.5736 0.0000 0.5000  5 Ge 2.93-2.95, 2 Li 3.15
Ge: 0.0000 0.0000 0.5000  6 Li 2.62
Ge: 0.3333 0.6667 0.0000  3 Li 2.73, 6 Yb 2.93
Ge: 0.6667 0.3333 0.0000  3 Li 2.73, 6 Yb 2.93

***

[4]
First-principles (meta-GGA r2SCAN) data for a relaxed structure of Ba2PCl, as listed in the Materials Project database.

Calculated values
Formation enthalpy at 0 K (eV per atom): -1.861
DFT total energy (Ry per atom): -1.389
Space-group type: R-3m, No. 166
Crystal system: trigonal

a = 4.6812 Å, b = 4.6812 Å, c = 22.7260 Å
α = 90.00°, β = 90.00°, γ = 120.00°
With the nearest neighbours (Å) after each atom.
Fractional positions:
Ba: 0.0000 0.0000 0.2414  3 P 3.19, 3 Cl 3.42
Ba: 0.0000 0.0000 0.7586  3 P 3.19, 3 Cl 3.42
Ba: 0.3333 0.6667 0.4253  3 P 3.19, 3 Cl 3.42
Ba: 0.3333 0.6667 0.9081  3 P 3.19, 3 Cl 3.42
Ba: 0.6667 0.3333 0.0919  3 P 3.19, 3 Cl 3.42
Ba: 0.6667 0.3333 0.5747  3 P 3.19, 3 Cl 3.42
P: 0.0000 0.0000 0.5000  6 Ba 3.19
P: 0.3333 0.6667 0.1667  6 Ba 3.19
P: 0.6667 0.3333 0.8333  6 Ba 3.19
Cl: 0.0000 0.0000 0.0000  6 Ba 3.42
Cl: 0.3333 0.6667 0.6667  6 Ba 3.42
Cl: 0.6667 0.3333 0.3333  6 Ba 3.42

***

[5]
First-principles (meta-GGA r2SCAN) data for a relaxed structure of Cs2MnBr4, as listed in the Materials Project database.

Calculated values
Formation enthalpy at 0 K (eV per atom): -1.757
DFT total energy (Ry per atom): -1.367
Space-group type: Pnma, No. 62
Crystal system: orthorhombic

a = 10.3052 Å, b = 7.8269 Å, c = 13.8517 Å
α = 90.00°, β = 90.00°, γ = 90.00°
With the nearest neighbours (Å) after each atom.
Fractional positions:
Cs: 0.0203 0.2500 0.1721  9 Br 3.65-4.07
Cs: 0.1293 0.7500 0.4076  8 Br 3.71-4.11, 1 Mn 4.13
Cs: 0.3707 0.2500 0.9076  8 Br 3.71-4.11, 1 Mn 4.13
Cs: 0.4797 0.7500 0.6721  9 Br 3.65-4.07
Cs: 0.5203 0.2500 0.3279  9 Br 3.65-4.07
Cs: 0.6293 0.7500 0.0924  8 Br 3.71-4.11, 1 Mn 4.13
Cs: 0.8707 0.2500 0.5924  8 Br 3.71-4.11, 1 Mn 4.13
Cs: 0.9797 0.7500 0.8279  9 Br 3.65-4.07
Mn: 0.2294 0.7500 0.0764  4 Br 2.48-2.50
Mn: 0.2706 0.2500 0.5764  4 Br 2.48-2.50
Mn: 0.7294 0.7500 0.4236  4 Br 2.48-2.50
Mn: 0.7706 0.2500 0.9236  4 Br 2.48-2.50
Br: 0.0107 0.2500 0.9040  1 Mn 2.49
Br: 0.1748 0.5061 0.6544  1 Mn 2.48
Br: 0.1748 0.9939 0.6544  1 Mn 2.48
Br: 0.1834 0.2500 0.4082  1 Mn 2.50
Br: 0.3166 0.7500 0.9082  1 Mn 2.50
Br: 0.3252 0.0061 0.1544  1 Mn 2.48
Br: 0.3252 0.4939 0.1544  1 Mn 2.48
Br: 0.4893 0.7500 0.4040  1 Mn 2.49
Br: 0.5107 0.2500 0.5960  1 Mn 2.49
Br: 0.6748 0.5061 0.8456  1 Mn 2.48
Br: 0.6748 0.9939 0.8456  1 Mn 2.48
Br: 0.6834 0.2500 0.0918  1 Mn 2.50
Br: 0.8166 0.7500 0.5918  1 Mn 2.50
Br: 0.8252 0.0061 0.3456  1 Mn 2.48
Br: 0.8252 0.4939 0.3456  1 Mn 2.48
Br: 0.9893 0.7500 0.0960  1 Mn 2.49

***

[6]
First-principles (meta-GGA r2SCAN) data for a relaxed structure of ZrGePd, as listed in the Materials Project database.

Calculated values
Formation enthalpy at 0 K (eV per atom): -0.958
DFT total energy (Ry per atom): -1.530
Space-group type: Pnma, No. 62
Crystal system: orthorhombic

a = 6.7077 Å, b = 3.9657 Å, c = 7.7360 Å
α = 90.00°, β = 90.00°, γ = 90.00°
With the nearest neighbours (Å) after each atom.
Fractional positions:
Zr: 0.0294 0.2500 0.1845  5 Ge 2.78-2.88, 3 Pd 3.01-3.02
Zr: 0.4706 0.7500 0.6845  5 Ge 2.78-2.88, 3 Pd 3.01-3.02
Zr: 0.5294 0.2500 0.3155  5 Ge 2.78-2.88, 3 Pd 3.01-3.02
Zr: 0.9706 0.7500 0.8155  5 Ge 2.78-2.88, 3 Pd 3.01-3.02
Ge: 0.2473 0.7500 0.3772  4 Pd 2.54-2.65, 3 Zr 2.78-2.81
Ge: 0.2527 0.2500 0.8772  4 Pd 2.54-2.65, 3 Zr 2.78-2.81
Ge: 0.7473 0.7500 0.1228  4 Pd 2.54-2.65, 3 Zr 2.78-2.81
Ge: 0.7527 0.2500 0.6228  4 Pd 2.54-2.65, 3 Zr 2.78-2.81
Pd: 0.1416 0.2500 0.5615  4 Ge 2.54-2.65
Pd: 0.3584 0.7500 0.0615  4 Ge 2.54-2.65
Pd: 0.6416 0.2500 0.9385  4 Ge 2.54-2.65
Pd: 0.8584 0.7500 0.4385  4 Ge 2.54-2.65

***

- Which formula does entry 6 have?
  ZrGePd